Record 1
Material: Ho3Pd2
Method: DFT, PBE
State: optimized geometry

POSCAR file:
```
Ho3Pd2
1.0
7.7695 0.0000 0.0000
0.0000 7.7695 0.0000
0.0000 0.0000 3.9421
Ho Pd
6 4
Direct
0.0000 0.0000 0.0000 Ho
0.1644 0.3356 0.5000 Ho
0.3356 0.8356 0.5000 Ho
0.5000 0.5000 0.0000 Ho
0.6644 0.1644 0.5000 Ho
0.8356 0.6644 0.5000 Ho
0.1333 0.6333 0.0000 Pd
0.3667 0.1333 0.0000 Pd
0.6333 0.8667 0.0000 Pd
0.8667 0.3667 0.0000 Pd
```

---

Record 2
Material: CaYMg14O16
Method: DFT, PBE
State: optimized geometry

POSCAR file:
```
CaYMg14O16
1.0
4.4153 0.0000 0.0000
0.0000 8.7549 0.0000
0.0000 0.0000 8.8335
Ca Y Mg O
1 1 14 16
Direct
0.0000 0.0000 0.0000 Ca
0.0000 0.0000 0.5000 Y
0.0000 0.2608 0.2453 Mg
0.0000 0.2608 0.7547 Mg
0.0000 0.5000 0.0000 Mg
0.0000 0.5000 0.5000 Mg
0.0000 0.7392 0.2453 Mg
0.0000 0.7392 0.7547 Mg
0.5000 0.0000 0.2421 Mg
0.5000 0.0000 0.7579 Mg
0.5000 0.2578 0.0000 Mg
0.5000 0.2634 0.5000 Mg
0.5000 0.5000 0.2484 Mg
0.5000 0.5000 0.7516 Mg
0.5000 0.7366 0.5000 Mg
0.5000 0.7422 0.0000 Mg
0.0000 0.0000 0.2521 O
0.0000 0.0000 0.7479 O
0.0000 0.2604 0.5000 O
0.0000 0.2648 0.0000 O
0.0000 0.5000 0.2513 O
0.0000 0.5000 0.7487 O
0.0000 0.7352 0.0000 O
0.0000 0.7396 0.5000 O
0.5000 0.0000 0.0000 O
0.5000 0.0000 0.5000 O
0.5000 0.2490 0.2501 O
0.5000 0.2490 0.7499 O
0.5000 0.5000 0.0000 O
0.5000 0.5000 0.5000 O
0.5000 0.7510 0.2501 O
0.5000 0.7510 0.7499 O
```

---

Record 3
Material: SiO2
Method: DFT, PBE
State: optimized geometry

POSCAR file:
```
SiO2
1.0
8.7341 0.0000 0.0000
0.0000 5.0076 0.0000
-5.6224 0.0000 8.2830
Si O
8 16
Direct
0.1250 0.1129 0.2944 Si
0.1250 0.3871 0.7944 Si
0.3746 0.2363 0.6696 Si
0.3746 0.2637 0.1696 Si
0.6254 0.7363 0.8304 Si
0.6254 0.7637 0.3304 Si
0.8750 0.6129 0.2056 Si
0.8750 0.8871 0.7056 Si
0.0508 0.6935 0.7618 O
0.0508 0.8065 0.2618 O
0.2096 0.1719 0.1887 O
0.2096 0.3281 0.6887 O
0.2873 0.1490 0.4842 O
0.2873 0.3510 0.9842 O
0.4842 0.5162 0.2878 O
0.4842 0.9838 0.7878 O
0.5158 0.0162 0.2122 O
0.5158 0.4838 0.7122 O
0.7127 0.6490 0.0158 O
0.7127 0.8510 0.5158 O
0.7904 0.6719 0.3113 O
0.7904 0.8281 0.8113 O
0.9492 0.1935 0.7382 O
0.9492 0.3065 0.2382 O
```

---

Record 4
Material: Be3P2
Method: DFT, PBE
State: optimized geometry

POSCAR file:
```
Be3P2
1.0
-5.0965 5.0965 5.0965
5.0965 -5.0965 5.0965
5.0965 5.0965 -5.0965
Be P
24 16
Direct
0.0042 0.4953 0.7512 Be
0.0047 0.0089 0.2559 Be
0.0089 0.2559 0.0047 Be
0.2441 0.2530 0.7488 Be
0.2470 0.4911 0.4958 Be
0.2488 0.9958 0.5047 Be
0.2512 0.7559 0.7470 Be
0.2530 0.7488 0.2441 Be
0.2559 0.0047 0.0089 Be
0.4911 0.4958 0.2470 Be
0.4953 0.7512 0.0042 Be
0.4958 0.2470 0.4911 Be
0.5042 0.7530 0.5089 Be
0.5047 0.2488 0.9958 Be
0.5089 0.5042 0.7530 Be
0.7441 0.9953 0.9911 Be
0.7470 0.2512 0.7559 Be
0.7488 0.2441 0.2530 Be
0.7512 0.0042 0.4953 Be
0.7530 0.5089 0.5042 Be
0.7559 0.7470 0.2512 Be
0.9911 0.7441 0.9953 Be
0.9953 0.9911 0.7441 Be
0.9958 0.5047 0.2488 Be
0.0000 0.0000 0.5000 P
0.0000 0.5000 0.0000 P
0.0056 0.7500 0.7556 P
0.2444 0.9944 0.2500 P
0.2500 0.2444 0.9944 P
0.2500 0.7444 0.4944 P
0.2556 0.5056 0.7500 P
0.4944 0.2500 0.7444 P
0.5000 0.0000 0.0000 P
0.5000 0.5000 0.5000 P
0.5056 0.7500 0.2556 P
0.7444 0.4944 0.2500 P
0.7500 0.2556 0.5056 P
0.7500 0.7556 0.0056 P
0.7556 0.0056 0.7500 P
0.9944 0.2500 0.2444 P
```

---

Record 5
Material: La5Sn3Cl
Method: DFT, PBE
State: optimized geometry

POSCAR file:
```
La5Sn3Cl
1.0
9.6733 0.0000 0.0000
-4.8367 8.3773 0.0000
0.0000 0.0000 6.9308
La Sn Cl
10 6 2
Direct
0.0000 0.2602 0.2500 La
0.0000 0.7398 0.7500 La
0.2602 0.0000 0.2500 La
0.2602 0.2602 0.7500 La
0.3333 0.6667 0.0000 La
0.3333 0.6667 0.5000 La
0.6667 0.3333 0.0000 La
0.6667 0.3333 0.5000 La
0.7398 0.0000 0.7500 La
0.7398 0.7398 0.2500 La
0.0000 0.3878 0.7500 Sn
0.0000 0.6122 0.2500 Sn
0.3878 0.0000 0.7500 Sn
0.3878 0.3878 0.2500 Sn
0.6122 0.0000 0.2500 Sn
0.6122 0.6122 0.7500 Sn
0.0000 0.0000 0.0000 Cl
0.0000 0.0000 0.5000 Cl
```

---

Record 6
Material: DyNiSb2
Method: DFT, PBE
State: optimized geometry

POSCAR file:
```
DyNiSb2
1.0
4.3769 0.0000 0.0000
0.0000 4.3769 0.0000
0.0000 0.0000 9.2574
Dy Ni Sb
2 2 4
Direct
0.2500 0.2500 0.2401 Dy
0.7500 0.7500 0.7599 Dy
0.2500 0.7500 0.0000 Ni
0.7500 0.2500 0.0000 Ni
0.2500 0.2500 0.8572 Sb
0.2500 0.7500 0.5000 Sb
0.7500 0.2500 0.5000 Sb
0.7500 0.7500 0.1428 Sb
```

---

| no. | calculated total energy (eV per atom) | ρ (g cm⁻³) |
| --- | --- | --- |
| 1 | -5.57 | 9.88 |
| 2 | -6.07 | 3.53 |
| 3 | -7.91 | 2.20 |
| 4 | -4.64 | 2.23 |
| 5 | -5.33 | 6.42 |
| 6 | -5.34 | 8.70 |